# 1
# LiAc2Ir meta-GGA r2SCAN optimized geometry
data_LiAc2Ir
_cell_length_a 7.585
_cell_length_b 7.585
_cell_length_c 7.585
_cell_angle_alpha 90.00
_cell_angle_beta 90.00
_cell_angle_gamma 90.00
_space_group_name_H-M_alt 'F m -3 m'
_space_group_IT_number 225
_space_group_name_Hall '-F 4 2 3'
loop_
_atom_site_label
_atom_site_type_symbol
_atom_site_fract_x
_atom_site_fract_y
_atom_site_fract_z
Li1 Li 0.000 0.000 0.000
Ac1 Ac 0.250 0.250 0.250
Ir1 Ir 0.000 0.000 0.500
# Calculated total energy = -48.3252 eV/atom
# Magnetization = 0.00 μB/f.u.

---

# 2
# KAcTe2 meta-GGA r2SCAN optimized geometry
data_KAcTe2
_cell_length_a 8.213
_cell_length_b 8.213
_cell_length_c 8.213
_cell_angle_alpha 90.00
_cell_angle_beta 90.00
_cell_angle_gamma 90.00
_space_group_name_H-M_alt 'F m -3 m'
_space_group_IT_number 225
_space_group_name_Hall '-F 4 2 3'
loop_
_atom_site_label
_atom_site_type_symbol
_atom_site_fract_x
_atom_site_fract_y
_atom_site_fract_z
K1 K 0.000 0.000 0.000
Ac1 Ac 0.000 0.000 0.500
Te1 Te 0.250 0.250 0.250
# Calculated total energy = -32.9518 eV/atom
# Magnetization = 0.00 μB/f.u.

---

# 3
# AcLa meta-GGA r2SCAN optimized geometry
data_AcLa
_cell_length_a 3.9906
_cell_length_b 3.9906
_cell_length_c 6.1414
_cell_angle_alpha 90.00
_cell_angle_beta 90.00
_cell_angle_gamma 120.00
_space_group_name_H-M_alt 'P -6 m 2'
_space_group_IT_number 187
_space_group_name_Hall 'P -6 2'
loop_
_atom_site_label
_atom_site_type_symbol
_atom_site_fract_x
_atom_site_fract_y
_atom_site_fract_z
Ac1 Ac 0.0000 0.0000 0.0000
La1 La 0.6667 0.3333 0.5000
# Calculated total energy = -49.1591 eV/atom
# Magnetization = 0.00 μB/f.u.

---

# 4
# AcLa3 meta-GGA r2SCAN optimized geometry
data_AcLa3
_cell_length_a 7.7306
_cell_length_b 7.7306
_cell_length_c 6.2222
_cell_angle_alpha 90.00
_cell_angle_beta 90.00
_cell_angle_gamma 120.00
_space_group_name_H-M_alt 'P 63/m m c'
_space_group_IT_number 194
_space_group_name_Hall '-P 6c 2c'
loop_
_atom_site_label
_atom_site_type_symbol
_atom_site_fract_x
_atom_site_fract_y
_atom_site_fract_z
Ac1 Ac 0.3333 0.6667 0.2500
La1 La 0.1638 0.3275 0.7500
# Energy above the most stable polymorph in this dataset = 0.0070 eV/atom
# Magnetization = 0.39 μB/f.u.

---

# 5
# AcLa3 meta-GGA r2SCAN optimized geometry
data_AcLa3
_cell_length_a 5.426
_cell_length_b 5.426
_cell_length_c 10.690
_cell_angle_alpha 90.00
_cell_angle_beta 90.00
_cell_angle_gamma 90.00
_space_group_name_H-M_alt 'I 4/m m m'
_space_group_IT_number 139
_space_group_name_Hall '-I 4 2'
loop_
_atom_site_label
_atom_site_type_symbol
_atom_site_fract_x
_atom_site_fract_y
_atom_site_fract_z
Ac1 Ac 0.000 0.000 0.000
La1 La 0.000 0.000 0.500
La2 La 0.000 0.500 0.250
# Energy above the most stable polymorph in this dataset = 0.0000 eV/atom
# Magnetization = 0.00 μB/f.u.

---

# 6
# AcLaMg2 meta-GGA r2SCAN optimized geometry
data_AcLaMg2
_cell_length_a 8.102
_cell_length_b 8.102
_cell_length_c 8.102
_cell_angle_alpha 90.00
_cell_angle_beta 90.00
_cell_angle_gamma 90.00
_space_group_name_H-M_alt 'F m -3 m'
_space_group_IT_number 225
_space_group_name_Hall '-F 4 2 3'
loop_
_atom_site_label
_atom_site_type_symbol
_atom_site_fract_x
_atom_site_fract_y
_atom_site_fract_z
Ac1 Ac 0.000 0.000 0.000
La1 La 0.000 0.000 0.500
Mg1 Mg 0.250 0.250 0.250
# Calculated total energy = -26.7792 eV/atom
# Magnetization = 0.00 μB/f.u.

---

> The highest magnetization belongs to which entry?

number 4